[1]
ZnPd2 | PBE | optimized geometry

Computed properties:
**Energy**: -4.288 eV per atom

```
ZnPd2
1.0
3.062 0.000 0.000
0.000 3.062 0.000
0.000 0.000 9.566
Zn Pd
2 4
direct
0.000 0.000 0.166
0.000 0.000 0.834
0.000 0.000 0.500
0.500 0.500 0.000
0.500 0.500 0.314
0.500 0.500 0.686
```

[2]
Cs2U2O7 | PBE | optimized geometry

Computed properties:
**Spin magnetization**: 0.0 μB/cell
**Excess energy over the best structure of this formula in the dataset**: 0.10 kcal/mol of atoms

```
Cs2U2O7
1.0
7.289 -2.166 0.000
7.289 2.166 0.000
-2.962 0.000 7.165
Cs U O
2 2 7
direct
0.108 0.108 0.430
0.892 0.892 0.570
0.325 0.384 0.007
0.616 0.675 0.993
0.167 0.217 0.996
0.292 0.321 0.745
0.382 0.618 0.000
0.394 0.430 0.270
0.570 0.606 0.730
0.679 0.708 0.255
0.783 0.833 0.004
```

[3]
TmAg | PBE | optimized geometry

Computed properties:
**Energy**: -4.006 eV per atom

```
TmAg
1.0
3.596 0.000 0.000
0.000 3.596 0.000
0.000 0.000 3.596
Tm Ag
1 1
direct
0.000 0.000 0.000
0.500 0.500 0.500
```

[4]
BaSnHgS4 | PBE | optimized geometry

Computed properties:
**Spin magnetization**: 0.0 μB/cell
**Energy**: -4.109 eV per atom

```
BaSnHgS4
1.0
11.029 0.000 0.000
0.000 11.135 0.000
0.000 0.000 6.735
Ba Sn Hg S
4 4 4 16
direct
0.000 0.000 0.000
0.000 0.500 0.007
0.500 0.000 0.507
0.500 0.500 0.500
0.211 0.248 0.487
0.289 0.748 0.987
0.711 0.252 0.987
0.789 0.752 0.487
0.175 0.756 0.452
0.325 0.256 0.952
0.675 0.744 0.952
0.825 0.244 0.452
0.052 0.248 0.250
0.099 0.748 0.796
0.233 0.418 0.715
0.234 0.082 0.719
0.266 0.582 0.219
0.267 0.918 0.215
0.401 0.248 0.296
0.448 0.748 0.750
0.552 0.252 0.750
0.599 0.752 0.296
0.733 0.082 0.215
0.734 0.418 0.219
0.766 0.918 0.719
0.767 0.582 0.715
0.901 0.252 0.796
0.948 0.752 0.250
```

[5]
Cd4P2Br3 | PBE | optimized geometry

Computed properties:
**Energy**: -2.659 eV per atom

```
Cd4P2Br3
1.0
12.662 0.000 0.000
0.000 12.662 0.000
0.000 0.000 12.662
Cd P Br
32 16 24
direct
0.004 0.245 0.036
0.004 0.255 0.536
0.036 0.004 0.245
0.036 0.496 0.745
0.223 0.723 0.777
0.223 0.777 0.277
0.245 0.036 0.004
0.245 0.464 0.504
0.255 0.536 0.004
0.255 0.964 0.504
0.277 0.223 0.777
0.277 0.277 0.277
0.464 0.504 0.245
0.464 0.996 0.745
0.496 0.745 0.036
0.496 0.755 0.536
0.504 0.245 0.464
0.504 0.255 0.964
0.536 0.004 0.255
0.536 0.496 0.755
0.723 0.723 0.723
0.723 0.777 0.223
0.745 0.036 0.496
0.745 0.464 0.996
0.755 0.536 0.496
0.755 0.964 0.996
0.777 0.223 0.723
0.777 0.277 0.223
0.964 0.504 0.255
0.964 0.996 0.755
0.996 0.745 0.464
0.996 0.755 0.964
0.050 0.050 0.050
0.050 0.450 0.550
0.109 0.609 0.891
0.109 0.891 0.391
0.391 0.109 0.891
0.391 0.391 0.391
0.450 0.550 0.050
0.450 0.950 0.550
0.550 0.050 0.450
0.550 0.450 0.950
0.609 0.609 0.609
0.609 0.891 0.109
0.891 0.109 0.609
0.891 0.391 0.109
0.950 0.550 0.450
0.950 0.950 0.950
0.066 0.231 0.316
0.066 0.269 0.816
0.184 0.566 0.231
0.184 0.934 0.731
0.231 0.184 0.566
0.231 0.316 0.066
0.269 0.684 0.566
0.269 0.816 0.066
0.316 0.066 0.231
0.316 0.434 0.731
0.434 0.731 0.316
0.434 0.769 0.816
0.566 0.231 0.184
0.566 0.269 0.684
0.684 0.566 0.269
0.684 0.934 0.769
0.731 0.184 0.934
0.731 0.316 0.434
0.769 0.684 0.934
0.769 0.816 0.434
0.816 0.066 0.269
0.816 0.434 0.769
0.934 0.731 0.184
0.934 0.769 0.684
```

[6]
Sr2HfZrO6 | PBE | optimized geometry

Computed properties:
**Spin magnetization**: 0.0 μB/cell
**Energy**: -8.438 eV per atom

```
Sr2HfZrO6
1.0
0.000 4.170 4.170
4.170 0.000 4.170
4.170 4.170 0.000
Sr Hf Zr O
2 1 1 6
direct
0.250 0.250 0.250
0.750 0.750 0.750
0.000 0.000 0.000
0.500 0.500 0.500
0.248 0.248 0.752
0.248 0.752 0.248
0.248 0.752 0.752
0.752 0.248 0.248
0.752 0.248 0.752
0.752 0.752 0.248
```

[7]
CaP2H5NO7 | PBE | optimized geometry

Computed properties:
**Spin magnetization**: 0.0 μB/cell
**Energy**: -6.317 eV per atom

```
CaP2H5NO7
1.0
7.353 0.000 0.000
0.000 17.810 0.000
-7.221 0.000 10.662
Ca P H N O
8 16 40 8 56
direct
0.137 0.221 0.156
0.137 0.279 0.656
0.283 0.747 0.765
0.283 0.753 0.265
0.717 0.247 0.735
0.717 0.253 0.235
0.863 0.721 0.344
0.863 0.779 0.844
0.015 0.081 0.301
0.015 0.419 0.801
0.261 0.162 0.934
0.261 0.338 0.434
0.296 0.107 0.584
0.296 0.393 0.084
0.356 0.711 0.560
0.356 0.789 0.060
0.644 0.211 0.940
0.644 0.289 0.440
0.704 0.607 0.916
0.704 0.893 0.416
0.739 0.662 0.566
0.739 0.838 0.066
0.985 0.581 0.199
0.985 0.919 0.699
0.128 0.052 0.837
0.128 0.448 0.337
0.148 0.621 0.974
0.148 0.879 0.474
0.160 0.017 0.679
0.160 0.483 0.179
0.191 0.019 0.164
0.191 0.481 0.664
0.218 0.567 0.608
0.218 0.933 0.108
0.270 0.017 0.064
0.270 0.483 0.564
0.312 0.546 0.050
0.312 0.954 0.550
0.350 0.601 0.951
0.350 0.899 0.451
0.410 0.635 0.088
0.410 0.865 0.588
0.441 0.516 0.714
0.441 0.984 0.214
0.559 0.016 0.786
0.559 0.484 0.286
0.590 0.135 0.412
0.590 0.365 0.912
0.650 0.101 0.549
0.650 0.399 0.049
0.688 0.046 0.450
0.688 0.454 0.950
0.730 0.517 0.436
0.730 0.983 0.936
0.782 0.067 0.892
0.782 0.433 0.392
0.809 0.519 0.336
0.809 0.981 0.836
0.840 0.517 0.821
0.840 0.983 0.321
0.852 0.121 0.526
0.852 0.379 0.026
0.872 0.552 0.663
0.872 0.948 0.163
0.278 0.512 0.636
0.278 0.988 0.136
0.306 0.600 0.015
0.306 0.900 0.515
0.694 0.100 0.485
0.694 0.400 0.985
0.722 0.012 0.864
0.722 0.488 0.364
0.057 0.005 0.715
0.057 0.495 0.215
0.099 0.096 0.219
0.099 0.404 0.719
0.101 0.211 0.822
0.101 0.289 0.322
0.128 0.160 0.576
0.128 0.340 0.076
0.162 0.632 0.213
0.162 0.868 0.713
0.175 0.078 0.918
0.175 0.422 0.418
0.182 0.672 0.570
0.182 0.828 0.070
0.231 0.085 0.443
0.231 0.415 0.943
0.247 0.748 0.431
0.247 0.752 0.931
0.295 0.029 0.640
0.295 0.471 0.140
0.337 0.188 0.064
0.337 0.312 0.564
0.470 0.635 0.853
0.470 0.865 0.353
0.475 0.148 0.928
0.475 0.352 0.428
0.490 0.733 0.170
0.490 0.767 0.670
0.510 0.233 0.330
0.510 0.267 0.830
0.525 0.648 0.572
0.525 0.852 0.072
0.530 0.135 0.647
0.530 0.365 0.147
0.663 0.688 0.436
0.663 0.812 0.936
0.705 0.529 0.860
0.705 0.971 0.360
0.753 0.248 0.069
0.753 0.252 0.569
0.769 0.585 0.057
0.769 0.915 0.557
0.818 0.172 0.930
0.818 0.328 0.430
0.825 0.578 0.582
0.825 0.922 0.082
0.838 0.132 0.287
0.838 0.368 0.787
0.872 0.660 0.924
0.872 0.840 0.424
0.899 0.711 0.678
0.899 0.789 0.178
0.901 0.596 0.281
0.901 0.904 0.781
0.943 0.505 0.785
0.943 0.995 0.285
```

[8]
CeMg14Mn | PBE | optimized geometry

Computed properties:
**Spin magnetization**: 1.8 μB/cell
**Excess energy over the best structure of this formula in the dataset**: 0.00 kcal/mol of atoms

```
CeMg14Mn
1.0
10.266 0.000 0.000
0.000 3.053 5.709
0.000 -3.053 5.709
Ce Mg Mn
1 14 1
direct
0.000 0.000 0.000
0.000 0.005 0.494
0.000 0.494 0.005
0.231 0.643 0.643
0.253 0.152 0.646
0.253 0.646 0.152
0.262 0.154 0.154
0.500 0.492 0.492
0.500 0.494 0.987
0.500 0.987 0.494
0.500 0.989 0.989
0.738 0.154 0.154
0.747 0.152 0.646
0.747 0.646 0.152
0.769 0.643 0.643
0.000 0.481 0.481
```

[9]
NaTi3ZnP3S3O24 | PBE | optimized geometry

Computed properties:
**Spin magnetization**: 0.0 μB/cell
**Energy**: -7.070 eV per atom

```
NaTi3ZnP3S3O24
1.0
8.610 0.000 0.000
4.305 7.467 0.000
0.041 -0.019 22.356
Na Ti Zn P S O
3 9 3 9 9 72
direct
0.000 0.000 0.000
0.003 0.990 0.499
0.339 0.323 0.162
0.006 0.003 0.351
0.016 0.993 0.850
0.328 0.337 0.519
0.345 0.321 0.312
0.349 0.327 0.811
0.663 0.662 0.972
0.666 0.661 0.191
0.672 0.658 0.686
0.676 0.664 0.470
0.000 0.002 0.147
0.008 0.981 0.644
0.341 0.319 0.014
0.053 0.327 0.414
0.290 0.999 0.246
0.293 0.703 0.746
0.335 0.616 0.414
0.336 0.043 0.914
0.625 0.045 0.415
0.630 0.322 0.915
0.713 0.281 0.246
0.953 0.663 0.579
0.007 0.284 0.746
0.007 0.703 0.247
0.047 0.619 0.914
0.382 0.661 0.081
0.385 0.949 0.579
0.670 0.375 0.579
0.672 0.945 0.081
0.714 0.994 0.747
0.955 0.378 0.080
0.019 0.804 0.904
0.031 0.159 0.407
0.039 0.177 0.693
0.042 0.773 0.192
0.128 0.507 0.860
0.132 0.366 0.077
0.136 0.358 0.358
0.138 0.490 0.571
0.154 0.552 0.968
0.160 0.310 0.759
0.162 0.520 0.256
0.167 0.802 0.406
0.170 0.293 0.470
0.174 0.011 0.902
0.179 0.775 0.691
0.181 0.036 0.190
0.204 0.826 0.801
0.204 0.965 0.302
0.205 0.971 0.584
0.206 0.825 0.083
0.287 0.153 0.971
0.302 0.528 0.470
0.318 0.161 0.258
0.318 0.517 0.762
0.365 0.130 0.858
0.367 0.498 0.359
0.369 0.497 0.077
0.375 0.125 0.573
0.470 0.835 0.526
0.473 0.681 0.026
0.479 0.830 0.238
0.482 0.682 0.737
0.493 0.641 0.135
0.494 0.863 0.634
0.501 0.635 0.426
0.503 0.853 0.923
0.505 0.361 0.573
0.508 0.122 0.079
0.508 0.127 0.359
0.509 0.357 0.859
0.521 0.314 0.258
0.531 0.151 0.758
0.536 0.163 0.470
0.558 0.284 0.971
0.640 0.486 0.635
0.640 0.859 0.424
0.649 0.492 0.923
0.653 0.854 0.135
0.689 0.837 0.026
0.693 0.834 0.739
0.694 0.462 0.526
0.695 0.469 0.238
0.780 0.170 0.190
0.781 0.035 0.693
0.813 0.019 0.406
0.819 0.161 0.901
0.826 0.963 0.800
0.830 0.198 0.585
0.833 0.193 0.302
0.836 0.682 0.524
0.837 0.956 0.083
0.841 0.464 0.740
0.842 0.685 0.240
0.845 0.469 0.025
0.863 0.634 0.636
0.865 0.485 0.135
0.865 0.491 0.424
0.866 0.638 0.921
0.968 0.200 0.082
0.971 0.202 0.800
0.973 0.828 0.582
0.974 0.816 0.300
```